1.
# VZnP2O7

A relaxed structure of VZnP2O7 (PBE with a Hubbard U, the Materials Project database).

Output
Energy relative to the elements   -2.475 eV per atom
Spin magnetization   3.00 μB per formula unit

Geometry as extended XYZ:
```
44
Lattice="-0.8835 -7.1262 -0.2571 0.3014 -3.6836 8.0934 -7.9081 3.0051 4.6344" Properties=species:S:1:pos:R:3 pbc="T T T"
V -6.4399 -0.0954 6.7688
V -2.0500 -7.7100 5.7031
V -2.3354 -3.4392 8.4964
V -6.1549 -4.3653 3.9740
Zn -6.7701 -5.2765 10.3820
Zn -2.9669 -4.9372 4.0177
Zn -5.5231 -2.8677 8.4530
Zn -1.7197 -2.5280 2.0886
P -4.2741 -5.6412 6.9681
P -8.3785 -2.2964 5.2390
P -0.1118 -5.5080 7.2315
P -4.2160 -2.1638 5.5024
P -4.2242 -0.1947 3.1104
P -0.1200 -3.5393 4.8401
P -8.3704 -4.2656 7.6308
P -4.2658 -7.6098 9.3603
O -7.2774 -2.5440 4.1854
O -3.1732 -5.8891 5.9145
O -5.3170 -1.9161 6.5560
O -1.2127 -5.2606 8.2854
O -5.6774 -5.9003 6.4594
O -1.5722 -9.2441 8.1892
O -6.9181 1.4404 4.2807
O -2.8128 -1.9049 6.0112
O -4.1160 -4.2790 7.6625
O -8.2203 -0.9345 5.9339
O -0.2696 -6.8700 6.5369
O -4.3741 -3.5257 4.8077
O -7.0767 -4.2511 8.4725
O -3.2735 -3.9115 2.1085
O -5.2165 -3.8931 10.3621
O -1.4134 -3.5535 3.9980
O -3.0229 -0.7842 2.3467
O -6.8268 -1.1246 8.7115
O -1.6635 -6.6808 3.7598
O -5.4671 -7.0202 10.1238
O -4.6103 -1.0799 4.3766
O -0.5074 -4.4242 6.1061
O -7.9840 -3.3805 6.3645
O -3.8796 -6.7247 8.0941
O -3.7067 -1.8715 9.0373
O -7.8113 1.4727 7.3080
O -0.6786 -9.2777 5.1628
O -4.7834 -5.9330 3.4332
```

---

2.
# VZnP2O7

A relaxed structure of VZnP2O7 (PBE with a Hubbard U, the Materials Project database).

Output
Energy relative to the elements   -2.477 eV per atom
Spin magnetization   0.00 μB per formula unit

Geometry as extended XYZ:
```
44
Lattice="6.5821 -0.0388 0.7115 0.8670 5.8923 2.7170 0.0276 -5.9143 10.6911" Properties=species:S:1:pos:R:3 pbc="T T T"
V 5.2949 0.5904 12.6327
V 2.6292 -0.6622 8.1909
V 4.8454 0.6018 5.9305
V 2.1841 -0.6516 1.4850
Zn 5.7835 1.8441 2.2686
Zn 6.2297 1.8340 8.9718
Zn 1.2460 -1.8939 5.1470
Zn 1.6944 -1.9057 11.8518
P 1.5786 1.2882 5.8383
P 1.1603 -4.6157 9.8255
P 6.3179 4.5543 4.2943
P 5.8967 -1.3484 8.2811
P 4.9332 3.7561 6.7900
P 4.5144 -2.1478 10.7770
P 2.9632 2.0864 3.3426
P 2.5426 -3.8163 7.3296
O 5.6973 3.5453 5.3717
O 5.2774 -2.3585 9.3580
O 2.1992 2.2972 4.7609
O 1.7796 -3.6056 8.7486
O 0.4590 0.4351 5.2348
O 0.9082 0.4222 11.9395
O 6.5704 -0.4849 2.1808
O 7.0158 -0.4940 8.8841
O 4.4012 1.5922 3.7085
O 4.8478 1.5816 10.4116
O 2.6283 -1.6420 3.7071
O 3.0762 -1.6534 10.4120
O 2.9767 3.5356 2.8058
O 2.5549 -2.3671 6.7933
O 4.9198 2.3069 7.3268
O 4.5021 -3.5970 11.3133
O 6.7666 3.5720 3.1855
O 6.3457 -2.3295 7.1716
O 1.1299 2.2705 6.9471
O 0.7113 -3.6346 10.9350
O 5.1676 5.4637 3.8480
O 4.7453 -0.4401 7.8359
O 2.7289 0.3788 6.2846
O 2.3118 -5.5240 10.2707
O 2.1434 1.1411 2.5210
O 2.5885 1.1310 9.2258
O 4.8861 -1.1909 4.8945
O 5.3355 -1.2028 11.5978
```

---

3.
# V3ZnP4O14

A relaxed structure of V3ZnP4O14 (PBE with a Hubbard U, the Materials Project database).

Output
Energy relative to the elements   -2.487 eV per atom
Spin magnetization   9.00 μB per formula unit

Geometry as extended XYZ:
```
44
Lattice="7.4427 0.0000 0.0000 0.0000 7.7832 0.0000 -3.5020 0.0000 8.8713" Properties=species:S:1:pos:R:3 pbc="T T T"
V 0.0000 0.0000 0.0000
V -1.7510 3.8916 4.4356
V -0.4247 1.0040 4.6458
V 1.3263 2.8876 0.2101
V 2.6143 4.8956 8.6612
V 4.3653 6.7792 4.2255
Zn 3.7213 0.0000 0.0000
Zn 1.9703 3.8916 4.4356
P -1.8306 5.5179 7.2256
P -0.0796 6.1569 2.7899
P 2.0162 0.5230 2.5813
P 0.2652 3.3686 7.0170
P 3.6755 4.4146 1.8543
P 1.9245 7.2602 6.2900
P 4.0202 1.6263 6.0814
P 5.7712 2.2653 1.6457
O -2.1223 5.6015 5.7232
O -0.3713 6.0733 1.2875
O -2.8274 4.5824 7.9205
O -1.0764 7.0924 3.4849
O 0.0812 4.8284 3.5601
O -1.6698 6.8464 7.9957
O 1.6607 0.8987 1.0983
O -0.0903 2.9929 5.5340
O -0.3998 4.8128 7.3019
O 1.3512 6.8620 2.8662
O 1.4248 1.5197 3.5774
O -0.3262 2.3719 8.0131
O 2.1943 4.0940 1.7900
O 0.4433 7.5809 6.2257
O 3.4974 0.2023 2.6456
O 1.7464 3.6893 7.0813
O 4.2669 5.4113 0.8582
O 2.5159 6.2635 5.2939
O 2.5894 0.9212 6.0050
O 4.3404 2.9704 1.5694
O 4.0309 4.7903 3.3373
O 2.2799 6.8845 7.7730
O 5.6105 0.9368 0.8756
O 3.8595 2.9548 5.3112
O 5.0170 0.6908 5.3864
O 6.7681 3.2008 0.9508
O 4.3120 1.7099 7.5837
O 6.0630 2.1817 3.1481
```

---

4.
# V2Zn3P4O18

A relaxed structure of V2Zn3P4O18 (PBE with a Hubbard U, the Materials Project database).

Output
Energy relative to the elements   -2.371 eV per atom
Spin magnetization   0.00 μB per formula unit

Geometry as extended XYZ:
```
27
Lattice="4.7036 -6.2764 0.0000 4.7036 6.2764 0.0000 -4.6947 0.0000 6.2345" Properties=species:S:1:pos:R:3 pbc="T T T"
V 4.7036 3.1481 0.0000
V 4.7036 -3.1481 0.0000
Zn 1.5340 4.7844 3.1172
Zn 1.6365 0.0000 4.4491
Zn 1.5340 -4.7844 3.1172
P 0.1218 2.3716 3.1181
P 0.1218 -2.3716 3.1181
P 4.7693 0.0000 0.7351
P 4.8424 0.0000 5.5870
O -1.5896 3.1290 6.2262
O 0.4065 3.3831 4.3430
O 5.1080 4.9810 0.1965
O 3.4022 4.3703 3.1185
O 1.2260 1.3566 3.1355
O 0.4669 1.2526 6.0211
O 3.3866 0.0000 1.2389
O 5.1299 2.9078 1.8984
O 1.2260 -1.3566 3.1355
O -1.5896 -3.1290 6.2262
O 0.4669 -1.2526 6.0211
O 0.4065 -3.3831 4.3430
O 3.4342 0.0000 5.0648
O 5.9392 0.0000 1.7914
O 5.1299 -2.9078 1.8984
O 5.1080 -4.9810 0.1965
O 3.4022 -4.3703 3.1185
O 5.9275 0.0000 4.4698
```

---

5.
# VZn6P3O16

A relaxed structure of VZn6P3O16 (PBE with a Hubbard U, the Materials Project database).

Output
Energy relative to the elements   -2.302 eV per atom
Spin magnetization   0.00 μB per formula unit

Geometry as extended XYZ:
```
26
Lattice="5.4082 0.0000 0.0000 0.0445 8.4375 0.0000 2.6669 2.3533 7.7632" Properties=species:S:1:pos:R:3 pbc="T T T"
V 0.0000 0.0000 0.0000
Zn 2.6736 3.6202 4.6987
Zn 3.5104 6.6208 1.9050
Zn 5.3931 3.7068 6.7140
Zn 4.9817 7.8230 4.7521
Zn 4.0643 2.5021 1.9181
Zn 7.6554 7.7905 6.7381
P 2.3016 9.0415 3.7701
P 4.9621 6.6163 7.7430
P 5.3676 4.8488 3.7626
O 3.5084 6.4397 7.3082
O 3.1021 8.4503 5.0219
O 2.5554 8.1801 2.5401
O 2.8511 2.0420 3.4816
O 4.3527 10.6484 7.2984
O 2.5186 5.1096 1.2214
O 2.8981 2.8309 0.2802
O 4.5448 4.2476 4.9923
O 5.7696 7.1961 6.4937
O 4.7705 6.2825 3.4849
O 5.1283 3.9831 2.5357
O 4.7375 6.8472 0.3371
O 5.1394 1.0084 1.3405
O 6.2456 9.1850 4.1865
O 7.2143 3.0647 6.3676
O 6.8312 5.0088 4.1744
```

---

6.
# V4ZnP6O24

A relaxed structure of V4ZnP6O24 (PBE with a Hubbard U, the Materials Project database).

Output
Energy relative to the elements   -2.541 eV per atom
Spin magnetization   4.00 μB per formula unit

Geometry as extended XYZ:
```
35
Lattice="6.2463 0.0000 0.0000 -1.5792 8.0778 0.0000 -2.6889 -3.7234 8.2732" Properties=species:S:1:pos:R:3 pbc="T T T"
V -0.0545 1.6766 0.1796
V -0.8585 5.5998 5.1196
V 2.8367 -1.2454 3.1535
V 2.0327 2.6777 8.0936
Zn -2.1340 2.1772 4.1366
P -0.3948 -0.3919 2.7826
P -0.3922 4.3668 2.1553
P -1.0623 2.8279 7.0097
P 3.0405 1.5265 1.2634
P 2.3704 -0.0124 6.1178
P 2.3730 4.7463 5.4906
O -1.3948 5.0728 1.2156
O 0.0055 -0.2093 1.2642
O -1.1383 -2.3162 5.3967
O -0.6767 0.9369 3.3992
O -0.0182 2.9933 1.6495
O -0.9515 4.2477 3.6247
O -2.3516 2.8559 7.9154
O -1.2033 1.7911 5.9296
O 0.8189 -1.1483 3.4699
O 1.8336 1.7404 0.2808
O -0.8112 4.2284 6.3909
O 0.8963 5.2795 2.1975
O 1.0819 -0.9251 6.0756
O 2.7894 0.1260 1.8823
O 0.1446 2.6140 7.9923
O 1.1593 5.5027 4.8032
O 3.1815 2.5632 2.3435
O 4.3298 1.4985 0.3578
O 2.9297 0.1067 4.6485
O 1.9964 1.3611 6.6237
O 2.6549 3.4175 4.8740
O 3.1165 6.6706 2.8765
O 1.9727 4.5637 7.0090
O 3.3730 -0.7184 7.0576
```

---

7.
# VZnP2O7

A relaxed structure of VZnP2O7 (PBE with a Hubbard U, the Materials Project database).

Output
Energy relative to the elements   -2.506 eV per atom
Spin magnetization   3.00 μB per formula unit

Geometry as extended XYZ:
```
44
Lattice="7.1150 0.0000 0.0000 0.0000 8.5615 0.0000 -3.6022 0.0000 8.4587" Properties=species:S:1:pos:R:3 pbc="T T T"
V 1.2799 0.6319 0.9291
V -0.5212 3.6488 5.1585
V 4.0339 4.9127 3.3002
V 2.2328 7.9295 7.5296
Zn -0.3142 0.4866 5.7819
Zn 1.4869 3.7941 1.5526
Zn 2.0258 4.7673 6.9062
Zn 3.8269 8.0749 2.6768
P -2.2374 6.2795 6.2801
P -0.4362 6.5628 2.0508
P 3.2164 6.1997 0.2560
P 1.4152 6.6426 4.4853
P 2.0975 1.9189 3.9734
P 0.2964 2.3618 8.2028
P 3.9490 1.9987 6.4079
P 5.7501 2.2820 2.1786
O -2.0568 5.1369 5.2710
O -0.2557 7.7053 1.0416
O 0.1138 5.2334 1.5927
O -1.6874 7.6088 5.8221
O -1.6989 2.0477 5.9297
O 0.1022 2.2331 1.7004
O -1.4473 5.7862 7.6002
O 0.3539 7.0561 3.3708
O 0.7160 1.9599 4.6458
O 2.5171 2.3208 0.4164
O 1.0438 5.2704 5.0813
O 2.8449 7.5718 0.8520
O 2.2255 0.7789 2.9442
O 0.4243 3.5019 7.1735
O 3.0884 5.0596 1.2852
O 1.2873 7.7826 5.5146
O 0.6678 0.9897 7.6067
O 2.4690 3.2911 3.3774
O 0.9956 6.2407 8.0423
O 2.7967 6.6016 3.8129
O 3.1589 1.5054 5.0879
O 4.9600 2.7753 0.8585
O 3.4105 6.3284 6.7583
O 5.2116 6.5138 2.5290
O 5.2001 0.9527 2.6366
O 3.3990 3.3281 6.8660
O 3.7684 0.8562 7.4171
O 5.5696 3.4246 3.1877
```

---

8.
# P2WO7

A relaxed structure of P2WO7 (PBE with a Hubbard U, the Materials Project database).

Output
Energy relative to the elements   -2.343 eV per atom
Spin magnetization   0.00 μB per formula unit

Geometry as extended XYZ:
```
20
Lattice="6.5031 0.0000 0.0000 0.6973 6.5072 0.0000 2.9389 0.0199 6.5138" Properties=species:S:1:pos:R:3 pbc="T T T"
P 1.5535 0.7377 0.9558
P 4.1734 2.3876 4.8968
P 5.9660 4.1395 1.6170
P 8.5859 5.7894 5.5580
W 5.3466 5.5379 4.6300
W 4.7928 0.9892 1.8838
O 2.7921 2.6768 4.5115
O 3.3265 5.7946 4.6581
O 4.3703 1.9644 6.4428
O 2.4062 5.9571 0.1453
O 2.7723 0.9812 1.8464
O 5.2079 3.5361 4.7574
O 4.7967 1.1143 4.0975
O 5.3427 5.4128 2.4163
O 4.9315 2.9910 1.7565
O 7.3671 5.5459 4.6675
O 7.7332 0.5700 6.3686
O 5.7691 4.5627 0.0710
O 6.8129 0.7324 1.8557
O 7.3473 3.8503 2.0023
```

---

9.
# PW5O17

A relaxed structure of PW5O17 (PBE with a Hubbard U, the Materials Project database).

Output
Energy relative to the elements   -2.269 eV per atom
Spin magnetization   0.39 μB per formula unit

Geometry as extended XYZ:
```
92
Lattice="5.4359 0.0000 0.0000 0.0000 6.7116 0.0000 0.0000 0.0000 36.7542" Properties=species:S:1:pos:R:3 pbc="T T T"
P 1.3322 0.3722 10.3108
P 1.3858 6.3394 28.6879
P 4.0501 2.9836 26.4433
P 4.1037 3.7279 8.0663
W 1.3318 0.5623 19.1446
W 1.3328 2.7598 12.8951
W 1.3339 2.8166 22.2532
W 1.3304 5.0115 16.0480
W 1.3380 5.0369 25.4107
W 1.3800 1.6747 7.0336
W 1.3876 1.7000 34.4251
W 1.3840 3.8950 3.8761
W 1.3851 3.9517 31.2722
W 1.3861 6.1493 0.7675
W 4.0518 0.5392 14.5010
W 4.0507 0.5960 23.8591
W 4.0498 2.7935 17.6096
W 4.0483 5.0558 20.7062
W 4.0559 5.0305 11.3434
W 4.0979 1.6811 29.7205
W 4.1055 1.6557 2.3291
W 4.1040 3.9181 35.9867
W 4.1031 6.1156 5.4820
W 4.1020 6.1723 32.8781
O 5.4338 1.6991 18.3649
O 0.0021 5.0549 0.0122
O 0.0060 0.5644 6.4355
O 0.0042 6.1759 15.1798
O 0.0062 6.1839 24.7895
O 0.0097 0.5741 33.5827
O 0.0396 5.0553 31.9668
O 0.0400 6.2771 10.5340
O 0.0533 0.5697 1.6255
O 0.0518 2.8264 35.1585
O 0.0534 5.0492 4.8126
O 0.1278 0.4770 28.9475
O 1.3322 1.6832 20.7690
O 1.3345 3.9107 14.3516
O 1.3301 6.1319 17.5845
O 1.3378 1.6376 11.1846
O 1.3390 3.9558 23.9134
O 1.3490 5.9094 27.2053
O 1.3689 0.8021 8.8282
O 1.3789 2.7557 5.5364
O 1.3801 5.0740 29.5617
O 1.3878 0.5797 35.9616
O 1.3835 2.8009 32.7287
O 1.3858 5.0283 2.3919
O 2.5901 6.2345 10.5704
O 2.6646 1.6624 23.1897
O 2.6661 3.8851 16.7814
O 2.6647 6.1419 20.0026
O 2.6780 0.4345 28.9111
O 2.6783 1.6563 13.5897
O 2.7082 6.1375 15.2056
O 2.7118 0.5276 6.4124
O 2.7137 0.5356 33.5569
O 2.7120 6.1472 24.8126
O 2.7159 1.6566 18.3893
O 2.7200 5.0124 36.7420
O 2.7239 2.7914 30.3187
O 2.7241 3.8834 11.9647
O 2.7221 3.8914 21.5744
O 2.7277 2.7817 3.1714
O 2.7579 3.7902 26.2202
O 2.7575 5.0121 4.7874
O 2.7698 0.5293 1.5957
O 2.7712 2.7861 35.1287
O 2.7713 5.0182 31.9416
O 2.8457 2.8788 7.8067
O 4.0501 1.6726 15.9852
O 4.0480 3.9355 19.1697
O 4.0524 6.1567 22.4026
O 4.0558 1.7182 25.5696
O 4.0570 6.1115 12.8407
O 4.0670 4.1579 9.5489
O 4.0869 2.5537 27.9260
O 4.0969 0.6000 31.2178
O 4.0980 4.9934 7.1925
O 4.1014 0.5549 4.0255
O 4.1058 2.7761 0.7926
O 4.1037 5.0390 34.3623
O 5.3081 3.8328 26.1838
O 5.3825 1.6934 13.5645
O 5.3826 3.9255 16.7516
O 5.3841 6.1822 19.9728
O 5.3963 1.6995 23.1645
O 5.3959 2.9213 7.8431
O 5.4261 3.9299 21.5485
O 5.4317 2.8201 3.1973
O 5.4297 2.8281 30.3418
O 5.4299 3.9202 11.9416
```